Entry 1:
Here is a relaxed CaSeO4 crystal from Materials Project. Energies are from GGA-PBE.

Computed properties:
Energy of formation from the pure elements   -48.3 kcal/mol of atoms

The structure in POSCAR format:
```
CaSeO4
1.0
-4.534 -0.394 -2.326
-1.166 -4.007 2.950
0.452 5.880 3.738
Ca O Se
2 8 2
Cartesian
0.000 0.000 0.000 Ca
-1.782 -0.164 3.500 Ca
-1.845 1.711 0.433 O
-1.726 2.199 4.466 O
-4.470 -2.269 0.741 O
-4.364 0.467 0.072 O
-3.516 1.271 2.497 O
-1.951 -1.024 1.102 O
-2.348 4.052 2.415 O
-4.137 3.123 0.446 O
-3.466 1.643 0.862 Se
-2.850 -2.200 0.312 Se
```

=====

Entry 2:
Here is a relaxed CaSeO3 crystal from Materials Project. Energies are from GGA-PBE.

Computed properties:
Energy of formation from the pure elements   -53.2 kcal/mol of atoms

The structure in POSCAR format:
```
CaSeO3
1.0
6.860 0.000 0.000
0.000 6.533 0.000
0.000 4.977 6.615
O Se Ca
12 4 4
Cartesian
1.275 10.861 6.488 O
3.986 6.029 4.541 O
3.632 9.783 6.131 O
2.873 5.481 2.074 O
6.658 7.294 2.824 O
4.705 3.138 3.434 O
2.154 8.373 3.181 O
0.202 4.216 3.791 O
0.557 7.970 5.382 O
6.303 3.541 1.233 O
5.584 0.649 0.127 O
3.228 1.728 0.484 O
2.322 4.706 0.630 Se
5.752 4.316 2.677 Se
1.108 7.195 3.938 Se
4.537 6.804 5.985 Se
4.293 7.431 2.490 Ca
5.996 9.919 5.798 Ca
2.566 4.080 4.124 Ca
0.863 1.591 0.817 Ca
```

=====

Entry 3:
Here is a relaxed CaSe2O5 crystal from Materials Project. Energies are from GGA-PBE.

Computed properties:
Energy of formation from the pure elements   -44.1 kcal/mol of atoms

The structure in POSCAR format:
```
CaSe2O5
1.0
-2.054 -0.042 -6.296
-7.361 -6.876 2.447
-9.407 11.136 2.995
Se Ca O
16 8 40
Cartesian
-10.382 2.186 2.351 Se
-6.102 -3.390 -0.448 Se
-8.441 2.032 -3.204 Se
-10.158 6.075 2.503 Se
-13.448 2.175 3.603 Se
-12.720 7.608 -0.405 Se
-8.665 -1.857 -3.357 Se
-9.317 -3.405 0.350 Se
-9.849 9.351 2.130 Se
-13.252 0.443 -0.184 Se
-5.570 3.775 -0.669 Se
-9.505 7.623 -1.203 Se
-12.795 3.723 -0.104 Se
-6.027 0.496 -0.750 Se
-8.973 -5.133 -2.983 Se
-5.375 2.043 -4.456 Se
-12.094 -1.421 -2.624 Ca
-6.728 5.639 1.770 Ca
-9.370 4.110 -0.841 Ca
-5.465 -1.474 -4.786 Ca
-2.823 0.055 -2.175 Ca
-9.453 0.108 -0.013 Ca
-15.999 4.163 1.322 Ca
-13.357 5.692 3.933 Ca
-11.341 8.040 -1.558 O
-8.831 -5.832 -1.437 O
-7.068 4.565 -0.502 O
-9.117 3.590 -3.310 O
-6.649 2.472 -3.092 O
-10.654 7.743 1.703 O
-17.069 5.208 -0.727 O
-9.705 0.628 2.457 O
-8.168 -3.525 -2.557 O
-14.328 4.337 -0.535 O
-12.860 2.043 -1.022 O
-4.664 0.661 -3.751 O
-15.020 6.184 2.082 O
-9.172 5.450 1.258 O
-5.962 2.175 0.169 O
-7.172 -1.106 -3.148 O
-2.606 2.221 -1.177 O
-7.106 -0.247 0.308 O
-14.046 -0.274 -1.508 O
-11.650 5.324 2.295 O
-12.173 1.746 2.239 O
-7.481 -3.822 0.704 O
-8.680 1.784 -1.537 O
-4.776 4.492 0.655 O
-4.494 -0.119 -0.318 O
-9.650 -1.231 -2.111 O
-14.158 3.557 2.898 O
-1.754 -0.990 -0.127 O
-9.991 10.050 0.584 O
-11.716 4.465 -1.161 O
-13.895 7.342 -1.608 O
-11.672 -3.574 -1.664 O
-7.150 7.792 0.811 O
-11.754 -0.347 -0.351 O
-9.342 6.229 -2.175 O
-3.802 -1.965 -2.935 O
-9.480 -2.011 1.321 O
-16.216 1.997 0.324 O
-4.927 -3.124 0.755 O
-10.143 2.434 0.684 O
```

=====

Entry 4:
Here is a relaxed Ca3SiO crystal from Materials Project. Energies are from GGA-PBE.

Computed properties:
Energy of formation from the pure elements   -37.2 kcal/mol of atoms

The structure in POSCAR format:
```
Ca3SiO
1.0
-4.243 3.364 -3.891
-6.583 -0.855 0.726
-3.729 4.898 2.588
O Ca Si
2 6 2
Cartesian
-5.156 2.021 1.657 O
-2.121 1.682 -1.945 O
-3.542 2.046 -0.081 Ca
-7.729 5.994 -0.671 Ca
-8.946 3.094 -1.851 Ca
-6.825 1.412 0.094 Ca
-5.608 4.312 1.274 Ca
-11.012 5.361 -0.495 Ca
-8.790 3.881 1.515 Si
-5.764 3.526 -2.092 Si
```

=====

Entry 5:
Here is a relaxed Ca4Si3O11 crystal from Materials Project. Energies are from GGA-PBE.

Computed properties:
Energy of formation from the pure elements   -72.6 kcal/mol of atoms
Magnetic moment   4.0 Bohr magnetons per cell

The structure in POSCAR format:
```
Ca4Si3O11
1.0
-5.134 1.616 4.415
-3.789 -6.068 -2.213
6.918 -6.099 5.188
O Si Ca
22 6 8
Cartesian
-1.311 -1.558 3.367 O
-3.911 -3.394 0.088 O
-0.116 -5.298 7.373 O
-5.776 -5.696 3.459 O
3.771 -4.856 3.932 O
1.906 -7.158 7.302 O
-2.555 -9.220 5.990 O
0.087 -4.515 3.098 O
-1.982 -0.305 1.126 O
1.163 -5.975 5.068 O
-1.889 -5.254 0.018 O
-0.161 -3.037 5.856 O
0.550 -1.332 1.401 O
-0.542 -7.642 6.373 O
1.820 -7.937 3.074 O
-2.092 -6.037 4.292 O
-0.023 -10.246 6.265 O
-1.844 -7.515 1.535 O
-3.825 -2.614 4.317 O
-3.168 -4.577 2.322 O
-0.694 -8.993 4.024 O
-1.463 -2.909 1.018 O
0.644 -6.509 6.522 Si
-2.649 -4.042 0.868 Si
-1.869 -6.931 0.022 Si
-0.933 -9.069 5.637 Si
-0.136 -3.621 7.368 Si
-1.072 -1.483 1.754 Si
3.261 -7.152 4.777 Ca
1.801 -3.755 4.424 Ca
-3.806 -6.797 2.966 Ca
1.397 -10.190 3.715 Ca
-1.820 -3.752 4.251 Ca
-5.266 -3.400 2.613 Ca
-0.185 -6.799 3.140 Ca
-3.402 -0.362 3.676 Ca
```

=====

Entry 6:
Here is a relaxed Ca2SiO5 crystal from Materials Project. Energies are from GGA-PBE.

Computed properties:
Energy of formation from the pure elements   -65.3 kcal/mol of atoms
Magnetic moment   16.0 Bohr magnetons per cell
Polymorph energy (0 for the lowest one)   0 meV/atom

The structure in POSCAR format:
```
Ca2SiO5
1.0
-3.067 -2.390 -8.775
8.270 -4.770 -1.591
-4.251 -8.652 3.843
O Ca Si
40 16 8
Cartesian
2.789 -11.556 -6.899 O
-2.365 -7.150 -5.895 O
0.933 -6.861 1.426 O
0.196 -11.611 -6.043 O
-2.582 -9.866 1.761 O
4.158 -9.259 -4.062 O
-4.026 -11.113 -2.644 O
3.792 -8.603 -7.535 O
-1.420 -5.026 -4.744 O
-1.111 -3.193 -2.046 O
1.103 -9.986 0.390 O
-2.858 -12.249 -4.736 O
2.831 -5.969 -2.668 O
0.019 -8.951 -7.949 O
1.594 -3.677 -4.687 O
5.236 -5.885 -1.587 O
-3.206 -6.554 -2.461 O
-0.642 -12.135 -1.836 O
-2.840 -7.210 1.012 O
2.063 -12.619 -4.477 O
5.616 -6.684 -6.816 O
-2.109 -9.103 -0.672 O
-4.284 -9.928 -4.936 O
-0.921 -5.903 -1.490 O
-0.032 -7.378 -4.654 O
1.873 -9.910 -5.033 O
3.497 -12.443 2.050 O
2.371 -10.786 -1.779 O
4.977 -4.699 -3.879 O
-1.838 -4.256 0.376 O
-0.151 -5.827 -6.913 O
0.756 -4.201 -0.480 O
-2.545 -3.369 -8.573 O
-4.664 -9.128 0.293 O
0.984 -8.435 -1.869 O
3.810 -3.563 -1.787 O
-1.880 -9.843 -3.855 O
3.316 -8.663 -0.628 O
3.060 -6.709 -5.851 O
3.534 -5.946 -8.284 O
-1.251 -7.997 -2.507 Ca
-1.382 -13.279 -6.271 Ca
5.214 -7.473 0.087 Ca
1.494 -6.364 -0.842 Ca
7.093 -5.769 -2.961 Ca
-6.142 -10.044 -3.562 Ca
-0.966 -10.950 0.124 Ca
1.629 -12.936 -2.167 Ca
-0.677 -2.876 -4.355 Ca
2.203 -7.816 -4.016 Ca
-3.682 -5.458 -4.528 Ca
-4.262 -8.339 -6.610 Ca
1.917 -4.862 -6.647 Ca
2.334 -2.533 -0.252 Ca
4.634 -10.355 -1.995 Ca
-0.542 -9.449 -5.681 Ca
4.153 -5.028 -2.472 Si
-3.080 -8.775 0.608 Si
1.769 -11.470 -5.601 Si
1.890 -9.460 -0.942 Si
-0.938 -6.352 -5.581 Si
-0.817 -4.342 -0.922 Si
4.032 -7.038 -7.131 Si
-3.201 -10.785 -4.051 Si
```

=====

- What is the formula in the sixth record?
  Ca2SiO5